*P*
! MgZn2Ni4S8 | Materials Project | GGA-PBE | relaxed; values from VASP
! - SG: No. 8
! - Crystal system: monoclinic
&SYSTEM
  ibrav = 0, nat = 15, ntyp = 4
/
ATOMIC_SPECIES
Mg 24.30 Mg.upf
Zn 65.41 Zn.upf
Ni 58.69 Ni.upf
S 32.06 S.upf
ATOMIC_POSITIONS angstrom
Mg -3.3104 4.5136 0.2666
Zn -4.6012 1.4811 -0.7217
Zn -0.3042 3.9033 -0.2992
Ni -3.0792 -1.5567 1.5263
Ni -0.7467 1.2124 -2.9381
Ni -2.2442 1.5606 2.6005
Ni -0.4332 0.1096 0.0188
S -2.0315 4.8442 -1.6868
S -4.5585 2.3263 3.1460
S -5.5437 -1.3517 1.8787
S -2.8688 0.5430 0.6543
S -3.2450 1.7911 -2.6753
S -0.6104 3.2162 -4.0538
S -1.6536 3.5860 1.6707
S 0.3179 6.6819 -2.8596
CELL_PARAMETERS angstrom
1.6734 6.2475 2.1528
-0.6816 2.3090 -6.1709
-5.9185 -3.1713 3.0120

=====

*Q*
! MgZn2Ni4S8 | Materials Project | GGA-PBE | relaxed; values from VASP
! - SG: No. 5
! - Crystal system: monoclinic
&SYSTEM
  ibrav = 0, nat = 15, ntyp = 4
/
ATOMIC_SPECIES
Mg 24.30 Mg.upf
Zn 65.41 Zn.upf
Ni 58.69 Ni.upf
S 32.06 S.upf
ATOMIC_POSITIONS angstrom
Mg 5.7348 -0.4592 1.9492
Zn 0.6289 3.5693 1.8564
Zn 3.3362 1.7333 -1.4104
Ni -2.7737 6.2611 0.1997
Ni 5.3842 2.6158 -4.6322
Ni 3.0371 -0.4042 1.7513
Ni -2.5937 6.4125 -3.0488
S 3.4047 4.0265 -1.3184
S 4.1882 0.7110 3.3357
S 0.8291 0.7693 5.0507
S 1.0088 0.9363 1.7431
S -0.8214 4.8022 0.0541
S -0.6682 4.9355 -2.8915
S 4.3814 0.8141 0.4126
S 3.5296 4.2057 -4.6296
CELL_PARAMETERS angstrom
7.3132 -1.1066 -3.0968
-3.0504 6.7502 -3.0700
-0.3038 -0.3487 6.6135

=====

*R*
! MgZn2Ni4S8 | Materials Project | GGA-PBE | relaxed; values from VASP
! - SG: No. 12
! - Crystal system: monoclinic
&SYSTEM
  ibrav = 0, nat = 15, ntyp = 4
/
ATOMIC_SPECIES
Mg 24.30 Mg.upf
Zn 65.41 Zn.upf
Ni 58.69 Ni.upf
S 32.06 S.upf
ATOMIC_POSITIONS angstrom
Mg 2.7051 -2.0784 -0.3971
Zn 1.8724 -3.5627 1.6583
Zn -2.0906 -2.9727 1.3059
Ni 2.9319 0.6568 1.6671
Ni -0.2267 -2.7352 -2.0642
Ni 0.1176 -0.5325 3.5463
Ni 0.0000 0.0000 0.0000
S -1.5875 -5.3714 1.3718
S 1.3798 -1.8333 5.1308
S 4.4808 -0.3997 2.8999
S 1.3693 -1.1640 1.5923
S 1.1270 -4.0901 -0.6172
S -1.5980 -4.7021 -2.1667
S -1.3452 -2.4452 3.5813
S -4.6990 -6.1356 0.0642
CELL_PARAMETERS angstrom
-5.6284 -2.3786 3.7583
-0.4535 -5.4704 -4.1284
5.8637 1.3137 3.3342

=====

Which of them is most stable, and which least? Most stable: *P*; least stable: *Q*.

=====

*P*
! Mg14SiNi | Materials Project | GGA-PBE | relaxed; values from VASP
! - SG: No. 38
! - Crystal system: orthorhombic
&SYSTEM
  ibrav = 0, nat = 16, ntyp = 3
/
ATOMIC_SPECIES
Mg 24.30 Mg.upf
Si 28.09 Si.upf
Ni 58.69 Ni.upf
ATOMIC_POSITIONS angstrom
Mg 0.0133 1.8125 6.2730
Mg -1.5532 4.5177 6.2730
Mg 3.3084 1.8981 1.2546
Mg 3.0629 1.7622 6.2730
Mg 1.7350 4.6233 1.2546
Mg 1.4945 4.4787 6.2730
Mg 1.4598 0.8702 3.4287
Mg 1.4598 0.8702 9.1174
Mg -0.0795 3.5363 3.4287
Mg -0.0795 3.5363 9.1174
Mg 4.6437 0.8762 3.7263
Mg 4.6437 0.8762 8.8198
Mg 3.0561 3.5692 3.7760
Mg 3.0561 3.5692 8.7701
Si -1.6280 4.4745 1.2546
Ni -0.1037 1.7449 1.2546
CELL_PARAMETERS angstrom
6.1872 -0.0374 0.0000
-3.1260 5.4144 0.0000
0.0000 0.0000 10.0369

=====

*Q*
! Mg14SiNi | Materials Project | GGA-PBE | relaxed; values from VASP
! - SG: No. 187
! - Crystal system: hexagonal
&SYSTEM
  ibrav = 0, nat = 16, ntyp = 3
/
ATOMIC_SPECIES
Mg 24.30 Mg.upf
Si 28.09 Si.upf
Ni 58.69 Ni.upf
ATOMIC_POSITIONS angstrom
Mg 2.0945 -2.4926 3.6090
Mg 6.8851 -0.8954 3.7023
Mg 0.4519 2.5051 2.7857
Mg 5.2441 4.0989 2.8557
Mg 1.1671 0.2473 4.7118
Mg 5.9648 1.8237 4.7967
Mg 3.1753 2.1726 1.4468
Mg 8.0964 3.8040 1.5318
Mg 3.8721 -0.0272 3.3235
Mg 8.7933 1.6042 3.4085
Mg 2.2245 4.9819 2.5776
Mg 7.1456 6.6133 2.6625
Mg 3.0103 2.6917 4.4735
Mg 7.8245 4.2876 4.5566
Si 6.1651 1.3776 1.7616
Ni 1.3716 -0.2115 1.6789
CELL_PARAMETERS angstrom
-1.8418 5.4418 2.1904
1.4405 -4.5474 3.8794
9.5871 3.1782 0.1655

=====

Which of them is most stable, and which least? Most stable: *P*; least stable: *Q*.

=====

*P*
! Mg6NiSn | Materials Project | GGA-PBE | relaxed; values from VASP
! - SG: No. 101
! - Crystal system: tetragonal
&SYSTEM
  ibrav = 0, nat = 32, ntyp = 3
/
ATOMIC_SPECIES
Mg 24.30 Mg.upf
Ni 58.69 Ni.upf
Sn 118.71 Sn.upf
ATOMIC_POSITIONS angstrom
Mg 2.3807 5.2080 1.5602
Mg 7.5734 4.7461 1.5602
Mg 4.7461 2.3807 5.0127
Mg 2.3807 4.7461 5.0127
Mg 5.2080 7.5734 5.0127
Mg 7.5734 5.2080 5.0127
Mg 4.7461 7.5734 1.5602
Mg 5.2080 2.3807 1.5602
Mg 0.3591 3.4486 0.2000
Mg 9.5950 6.5055 0.2000
Mg 6.5055 0.3591 3.6524
Mg 0.3591 6.5055 3.6524
Mg 3.4486 9.5950 3.6524
Mg 9.5950 3.4486 3.6524
Mg 6.5055 9.5950 0.2000
Mg 3.4486 0.3591 0.2000
Mg 4.9771 4.9771 3.2417
Mg 4.9771 4.9771 6.6942
Mg 0.0000 0.0000 6.8989
Mg 0.0000 0.0000 3.4465
Mg 2.2469 2.2469 2.3253
Mg 7.7072 7.7072 2.3253
Mg 7.7072 2.2469 5.7777
Mg 2.2469 7.7072 5.7777
Ni 3.0805 3.0805 0.0606
Ni 6.8736 6.8736 0.0606
Ni 6.8736 3.0805 3.5131
Ni 3.0805 6.8736 3.5131
Sn 1.7067 1.7067 5.1177
Sn 8.2474 8.2474 5.1177
Sn 8.2474 1.7067 1.6653
Sn 1.7067 8.2474 1.6653
CELL_PARAMETERS angstrom
0.0000 0.0000 6.9049
9.9541 0.0000 0.0000
0.0000 9.9541 0.0000

=====

*Q*
A relaxed structure of Mg6NiSn. Source: Materials Project, functional GGA-PBE. Values from VASP.

The structure in Quantum ESPRESSO input format:
```
&SYSTEM
  ibrav = 0, nat = 16, ntyp = 3
/
ATOMIC_SPECIES
Mg 24.30 Mg.upf
Ni 58.69 Ni.upf
Sn 118.71 Sn.upf
ATOMIC_POSITIONS angstrom
Mg 2.4400 1.5772 4.4510
Mg 2.4400 4.6199 4.4510
Mg 2.4400 0.0000 7.1041
Mg 0.0000 1.6101 6.2640
Mg 0.0000 4.5870 6.2640
Mg 0.0000 0.0000 8.8592
Mg 2.4400 4.6758 9.7807
Mg 2.4400 1.5213 9.7807
Mg 2.4400 3.0986 1.7744
Mg 0.0000 4.7087 0.9343
Mg 0.0000 1.4884 0.9343
Mg 0.0000 3.0986 3.5296
Ni 2.4400 0.0000 1.7589
Ni 2.4400 3.0986 7.0886
Sn 0.0000 0.0000 3.4851
Sn 0.0000 3.0986 8.8148
CELL_PARAMETERS angstrom
4.8800 0.0000 0.0000
0.0000 6.1971 0.0000
0.0000 0.0000 10.6594
```

=====

Which of them is most stable, and which least? Most stable: *P*; least stable: *Q*.

=====

*P*
! SrMg14Ni | Materials Project | GGA-PBE | relaxed; values from VASP
! - SG: No. 38
! - Crystal system: orthorhombic
&SYSTEM
  ibrav = 0, nat = 16, ntyp = 3
/
ATOMIC_SPECIES
Sr 87.62 Sr.upf
Mg 24.30 Mg.upf
Ni 58.69 Ni.upf
ATOMIC_POSITIONS angstrom
Sr -2.7217 -4.0623 0.2650
Mg -0.2757 -3.4578 5.7704
Mg -1.9206 -5.9925 5.0229
Mg -2.7525 0.8652 2.4262
Mg -1.9082 -0.9595 7.2207
Mg -4.2487 -1.5502 1.6982
Mg -3.5248 -3.5692 6.4341
Mg -0.9111 -0.7628 4.2523
Mg 0.0924 -2.7638 8.8289
Mg -2.4603 -3.2636 3.4985
Mg -1.4568 -5.2646 8.0752
Mg -2.7434 1.9804 5.3369
Mg -1.5570 -0.3851 10.7471
Mg -3.9977 -0.9287 5.0291
Mg -3.0553 -2.8079 9.3272
Ni -1.5418 -1.3002 1.2140
CELL_PARAMETERS angstrom
-3.2424 4.9243 2.8640
-3.1751 -5.1255 -1.5447
2.0445 -4.0767 9.3241

=====

*Q*
! SrMg14Ni | Materials Project | GGA-PBE | relaxed; values from VASP
! - SG: No. 187
! - Crystal system: hexagonal
&SYSTEM
  ibrav = 0, nat = 16, ntyp = 3
/
ATOMIC_SPECIES
Sr 87.62 Sr.upf
Mg 24.30 Mg.upf
Ni 58.69 Ni.upf
ATOMIC_POSITIONS angstrom
Sr 0.0000 1.8609 6.4645
Mg -1.6636 4.6223 1.2929
Mg -1.5539 4.6857 6.4645
Mg 3.2232 1.9210 1.2929
Mg 3.2232 1.7943 6.4645
Mg 1.6636 4.6223 1.2929
Mg 1.5539 4.6857 6.4645
Mg 1.5684 0.9554 3.6149
Mg 1.5684 0.9554 9.3141
Mg 0.0000 3.6720 3.6149
Mg 0.0000 3.6720 9.3141
Mg 4.8780 0.9554 3.6149
Mg 4.8780 0.9554 9.3141
Mg 3.2232 3.7219 3.9912
Mg 3.2232 3.7219 8.9378
Ni 0.0000 1.8609 1.2929
CELL_PARAMETERS angstrom
6.4465 0.0000 0.0000
-3.2232 5.5828 0.0000
0.0000 0.0000 10.3432

=====

Which of them is most stable, and which least? Most stable: *P*; least stable: *Q*.

=====

*P*
! YMg14Ni | Materials Project | GGA-PBE | relaxed; values from VASP
! - SG: No. 187
! - Crystal system: hexagonal
&SYSTEM
  ibrav = 0, nat = 16, ntyp = 3
/
ATOMIC_SPECIES
Y 88.91 Y.upf
Mg 24.30 Mg.upf
Ni 58.69 Ni.upf
ATOMIC_POSITIONS angstrom
Y 0.4841 -1.6979 1.3833
Mg 2.5476 -4.1361 1.4004
Mg 3.0781 -3.6487 6.4589
Mg -2.6450 -2.2515 1.7075
Mg -2.1721 -1.9373 6.7855
Mg -0.4521 -4.7336 1.7167
Mg -0.1006 -4.2818 6.7942
Mg -0.9422 -0.9065 4.2207
Mg -0.5261 -0.5216 8.8927
Mg 1.0833 -3.1990 4.2291
Mg 1.4993 -2.8141 8.9012
Mg -4.1887 -1.5532 4.5631
Mg -3.7726 -1.1683 9.2351
Mg -2.0427 -3.9196 4.2685
Mg -1.5742 -3.4863 9.5286
Ni 0.9357 -1.2801 6.4546
CELL_PARAMETERS angstrom
-6.2307 -1.2411 0.6571
4.2289 -4.7864 0.0177
0.9033 0.8356 10.1426

=====

*Q*
! YMg14Ni | Materials Project | GGA-PBE | relaxed; values from VASP
! - SG: No. 38
! - Crystal system: orthorhombic
&SYSTEM
  ibrav = 0, nat = 16, ntyp = 3
/
ATOMIC_SPECIES
Y 88.91 Y.upf
Mg 24.30 Mg.upf
Ni 58.69 Ni.upf
ATOMIC_POSITIONS angstrom
Y -1.2171 -1.7606 -0.0301
Mg -5.1697 -2.8762 3.0160
Mg -4.7060 -5.8953 2.5096
Mg -3.2774 -0.0551 -1.8834
Mg -7.2256 -1.2835 1.1284
Mg -2.8112 -3.2460 -2.4470
Mg -6.7926 -4.2472 0.6049
Mg -4.1076 -0.7423 0.9274
Mg -7.9510 -1.8745 4.1582
Mg -3.6607 -3.8012 0.3871
Mg -7.5040 -4.9334 3.6179
Mg -6.2591 0.8259 -0.8626
Mg -9.8964 -0.2456 2.1950
Mg -5.6075 -2.0795 -1.8573
Mg -9.9494 -3.3585 1.7926
Ni -1.0316 -4.7629 -0.8616
CELL_PARAMETERS angstrom
-4.1478 3.2411 -3.7984
0.8819 -6.0354 -1.0660
-7.6299 -2.2477 6.4138

=====

Which of them is most stable, and which least? Most stable: *Q*; least stable: *P*.

=====

*P*
A relaxed structure of Mg6ZrNi. Source: Materials Project, functional GGA-PBE. Values from VASP.

The structure in Quantum ESPRESSO input format:
```
&SYSTEM
  ibrav = 0, nat = 16, ntyp = 3
/
ATOMIC_SPECIES
Mg 24.30 Mg.upf
Zr 91.22 Zr.upf
Ni 58.69 Ni.upf
ATOMIC_POSITIONS angstrom
Mg 2.4396 4.3901 10.5900
Mg 2.4396 1.4948 10.5900
Mg 0.0000 1.4556 6.6231
Mg 0.0000 4.4293 6.6231
Mg 0.0000 2.9425 9.4868
Mg 0.0000 0.0000 9.1512
Mg 2.4396 1.4477 4.9036
Mg 2.4396 4.4372 4.9036
Mg 0.0000 4.3981 0.9367
Mg 0.0000 1.4868 0.9367
Mg 0.0000 0.0000 3.8004
Mg 0.0000 2.9425 3.4649
Zr 2.4396 2.9425 7.7666
Zr 2.4396 0.0000 2.0802
Ni 2.4396 0.0000 7.4058
Ni 2.4396 2.9425 1.7194
CELL_PARAMETERS angstrom
4.8792 0.0000 0.0000
0.0000 5.8849 0.0000
0.0000 0.0000 11.3728
```

=====

*Q*
A relaxed structure of Mg6ZrNi. Source: Materials Project, functional GGA-PBE. Values from VASP.

The structure in Quantum ESPRESSO input format:
```
&SYSTEM
  ibrav = 0, nat = 16, ntyp = 3
/
ATOMIC_SPECIES
Mg 24.30 Mg.upf
Zr 91.22 Zr.upf
Ni 58.69 Ni.upf
ATOMIC_POSITIONS angstrom
Mg 0.0000 1.5547 0.8246
Mg 0.0000 4.5318 0.8246
Mg 0.0000 0.0000 3.6920
Mg 2.4198 4.5334 4.6615
Mg 2.4198 1.5531 4.6615
Mg 2.4198 0.0000 1.9305
Mg 0.0000 4.5980 6.3663
Mg 0.0000 1.4886 6.3663
Mg 0.0000 3.0433 9.2336
Mg 2.4198 1.4901 10.2032
Mg 2.4198 4.5964 10.2032
Mg 2.4198 3.0433 7.4721
Zr 0.0000 3.0433 3.4344
Zr 0.0000 0.0000 8.9760
Ni 2.4198 3.0433 2.1374
Ni 2.4198 0.0000 7.6791
CELL_PARAMETERS angstrom
4.8396 0.0000 0.0000
0.0000 6.0865 0.0000
0.0000 0.0000 11.0833
```

=====

Which of them is most stable, and which least? Most stable: *Q*; least stable: *P*.

=====

*P*
! Mg3P2O8 | Materials Project | GGA-PBE | relaxed; values from VASP
! - SG: No. 14
! - Crystal system: monoclinic
&SYSTEM
  ibrav = 0, nat = 26, ntyp = 3
/
ATOMIC_SPECIES
Mg 24.30 Mg.upf
P 30.97 P.upf
O 16.00 O.upf
ATOMIC_POSITIONS angstrom
Mg 7.1383 4.4263 3.0211
Mg 2.9681 2.9717 0.8347
Mg 1.2021 5.2474 4.6904
Mg 5.3723 6.7019 6.8768
Mg 4.1702 4.8368 3.8558
Mg 0.0000 2.5612 0.0000
P 6.7176 4.4982 6.1567
P 2.5474 7.4510 5.4106
P 1.6228 5.1754 1.5549
P 5.7930 2.2226 2.3009
O 4.7995 2.2451 1.1055
O 0.6293 5.1529 2.7503
O 3.5409 7.4286 6.6060
O 7.7111 4.5207 4.9612
O 7.1947 2.7307 1.8292
O 3.0245 4.6673 2.0265
O 1.1457 6.9429 5.8823
O 5.3159 5.0063 5.6850
O 5.8233 5.9169 2.8835
O 1.6531 1.4811 0.9722
O 7.1331 5.5331 7.2337
O 2.9629 6.4162 4.3336
O 1.2073 4.1405 0.4778
O 5.3775 3.2575 3.3779
O 6.6873 8.1925 6.7393
O 2.5171 3.7567 4.8280
CELL_PARAMETERS angstrom
8.3404 0.0000 0.0000
0.0000 5.1224 0.0000
0.0000 4.5512 7.7115

=====

*Q*
! Mg3P2O8 | Materials Project | GGA-PBE | relaxed; values from VASP
! - SG: No. 2
! - Crystal system: triclinic
&SYSTEM
  ibrav = 0, nat = 52, ntyp = 3
/
ATOMIC_SPECIES
Mg 24.30 Mg.upf
P 30.97 P.upf
O 16.00 O.upf
ATOMIC_POSITIONS angstrom
Mg 0.6748 -1.0419 7.2573
Mg 2.2708 -4.3090 0.3522
Mg 4.6304 -3.7625 4.8443
Mg -0.8643 -3.8553 0.6105
Mg 2.3519 -7.3288 0.9932
Mg -1.4582 -5.1028 4.7982
Mg 2.7871 -6.9218 4.5145
Mg 5.2243 -2.5150 0.6567
Mg 1.4953 -3.3089 5.1026
Mg 0.9789 -0.6960 0.9404
Mg 1.4141 -0.2890 4.4616
Mg 3.0913 -6.5760 -1.8025
P -1.2267 -3.1954 7.4013
P 3.6285 -1.4462 6.9631
P 4.9927 -4.4224 -1.9465
P 4.6479 -5.4814 2.3149
P 0.5069 -5.7446 2.9413
P 3.2592 -1.8732 2.5136
P -0.8818 -2.1364 3.1399
P 0.1376 -6.1716 -1.5082
O -1.6712 -1.7788 7.9453
O 2.3411 -1.3675 6.0400
O -0.3962 -2.0539 1.6643
O 1.4250 -6.2504 -0.5851
O 4.2771 -0.0334 7.0752
O 5.3718 -4.1283 2.1289
O -2.1552 -3.8469 6.3537
O 0.8733 -3.1857 -0.4983
O 4.6679 -1.2509 2.3758
O -3.1317 -7.8190 4.1454
O 2.1753 -0.7530 2.6240
O 2.8928 -4.4322 5.9531
O 0.1855 -2.9536 6.7839
O -0.8959 -5.1802 -0.9577
O 3.5806 -4.6643 -1.3291
O 0.6813 -4.9852 4.2961
O 5.1313 -0.9157 -0.7762
O 3.1499 -2.7950 3.7495
O 5.9213 -3.7710 -0.8988
O 3.4615 -5.6083 1.3435
O -0.5111 -7.5845 -1.6203
O -1.6057 -3.4895 3.3260
O -0.9018 -6.3669 3.0791
O 3.0847 -2.6326 1.1588
O 0.3045 -2.0096 4.1114
O 0.6161 -4.8229 1.7054
O 4.6620 -2.4376 6.4125
O 4.1623 -5.5640 3.7905
O -1.3652 -6.7022 6.2310
O 5.4372 -5.8391 -2.4905
O 1.5908 -6.8649 2.8309
O 6.8977 0.2011 1.3095
CELL_PARAMETERS angstrom
-3.0211 -7.8957 -1.6406
8.7769 1.1704 -2.0678
-1.9898 -0.8926 9.1633

=====

Which of them is most stable, and which least? Most stable: *P*; least stable: *Q*.